Material: UTeN
Method: DFT, GGA-PBE
State: relaxed

Unit cell a=3.8641 b=3.8641 c=8.3391 alpha=90.00 beta=90.00 gamma=90.00
Element x y z (fractional)
U 0.2500 0.2500 0.1392
U 0.7500 0.7500 0.8608
Te 0.2500 0.2500 0.6557
Te 0.7500 0.7500 0.3443
N 0.2500 0.7500 0.0000
N 0.7500 0.2500 0.0000

Calculated values
The calculation puts the energy at -8.807 eV/atom. For the calculated volume, the calculation gives 20.8 Å³/atom. Its space group is P4/nmm, No. 129. For the energy of formation, the calculation gives -1.337 eV/atom.